This record from the Materials Project database describes Na2PHO4 after structural relaxation. The functional is PBE-GGA.

## Properties
Energy relative to the elements, meV per atom: -2359
Polymorph energy (0 for the lowest one), eV/atom: 0.0042
Volume, Å³ per atom: 11.9
SG: P2_1, No. 4

Cell: 6.9835 5.5136 5.5227 Å, 63.61 90.00 90.00°
Closest atoms and distances in Å follow each position.
Positions (direct):
Na 0.7514 0.2503 0.3801  3 O 2.32-2.40, 1 H 2.57
Na 0.5081 0.9867 0.9942  6 O 2.33-2.58
Na 0.2514 0.7497 0.6199  3 O 2.32-2.40, 1 H 2.57
Na 0.0081 0.0133 0.0058  6 O 2.33-2.58
P 0.2377 0.3880 0.3335  4 O 1.52-1.65
P 0.7377 0.6120 0.6665  4 O 1.52-1.65
O 0.9279 0.7022 0.7829  1 H 1.03
O 0.4279 0.2978 0.2171  1 H 1.03
O 0.5626 0.6978 0.7832  1 P 1.55, 1 H 1.58
O 0.7498 0.7666 0.3593  1 P 1.52
O 0.0626 0.3022 0.2168  1 P 1.55, 1 H 1.58
O 0.7485 0.3031 0.7788  1 P 1.53
O 0.2485 0.6969 0.2212  1 P 1.53
O 0.2498 0.2334 0.6407  1 P 1.52
H 0.4753 0.4555 0.0413  1 O 1.03
H 0.9753 0.5445 0.9587  1 O 1.03

=====

This record from the Materials Project database describes Na5P3H12O16 after structural relaxation. The functional is PBE-GGA.

## Properties
Energy relative to the elements, meV per atom: -1119
Polymorph energy (0 for the lowest one), eV/atom: 0.8168
Volume, Å³ per atom: 10.9
SG: P-1, No. 2

Cell: 10.4531 9.8944 7.6117 Å, 92.14 94.76 90.73°
Closest atoms and distances in Å follow each position.
Positions (direct):
Na 0.5894 0.0494 0.8678  2 O 1.75-1.86
Na 0.7583 0.7704 0.6613  2 O 1.72-1.82
Na 0.0656 0.9089 0.1176  2 O 1.80-1.86
Na 0.9372 0.4168 0.1368  1 H 1.92, 1 O 2.01
Na 0.4106 0.9506 0.1322  2 O 1.75-1.86
Na 0.2417 0.2296 0.3387  2 O 1.72-1.82
Na 0.5503 0.4219 0.1459  3 O 2.06-2.29, 1 H 2.14
Na 0.9344 0.0911 0.8824  2 O 1.80-1.86
Na 0.4497 0.5781 0.8541  3 O 2.06-2.29, 1 H 2.14
Na 0.0628 0.5832 0.8632  1 H 1.92, 1 O 2.01
O 0.9063 0.6663 0.0286  1 P 1.59
O 0.8723 0.1072 0.1035  1 P 1.62
O 0.4294 0.4471 0.3445  1 H 0.98
O 0.2689 0.9336 0.6969  1 P 1.20
O 0.3897 0.8711 0.9065  1 P 1.57
O 0.2528 0.7182 0.1628  1 H 0.81
O 0.2450 0.2664 0.5623  2 H 1.05-1.17
O 0.9295 0.5411 0.6618  2 H 1.08-1.10
O 0.6191 0.2546 0.4758  1 P 1.52
O 0.1206 0.7480 0.5332  1 P 1.47
O 0.5904 0.9952 0.6458  2 H 1.05-1.09
O 0.0726 0.9720 0.3431  1 H 0.97
O 0.2444 0.1604 0.1139  1 P 1.49
O 0.6103 0.1289 0.0935  1 P 1.57
O 0.8794 0.2520 0.4668  1 P 1.47
O 0.7475 0.4019 0.2966  1 P 1.60
O 0.7550 0.7336 0.4377  2 H 1.05-1.17
O 0.9274 0.0280 0.6569  1 H 0.97
O 0.7118 0.8367 0.1277  1 P 1.65
O 0.7311 0.0664 0.3031  1 P 1.20
O 0.6590 0.5630 0.9832  1 P 1.86, 1 H 1.97
O 0.2525 0.5981 0.7034  1 P 1.60
O 0.3410 0.4370 0.0168  1 P 1.86, 1 H 1.97
O 0.4096 0.0048 0.3542  2 H 1.05-1.09
O 0.7472 0.2818 0.8372  1 H 0.81
O 0.3809 0.7454 0.5242  1 P 1.52
O 0.0705 0.4589 0.3382  2 H 1.08-1.10
O 0.2882 0.1633 0.8723  1 P 1.65
O 0.7556 0.8396 0.8861  1 P 1.49
O 0.5706 0.5529 0.6555  1 H 0.98
O 0.1277 0.8928 0.8965  1 P 1.62
O 0.0937 0.3337 0.9714  1 P 1.59
P 0.7344 0.0476 0.1474  1 O 1.20
P 0.2545 0.7401 0.6090  3 O 1.47-1.60
P 0.2656 0.9524 0.8526  1 O 1.20
P 0.7455 0.2599 0.3910  3 O 1.47-1.60
P 0.2367 0.2823 0.0051  3 O 1.49-1.65
P 0.7633 0.7177 0.9949  3 O 1.49-1.65
H 0.2348 0.6749 0.2461  1 O 0.81
H 0.0086 0.0572 0.3800  1 O 1.13
H 0.4893 0.0751 0.3881  1 O 1.09
H 0.9970 0.3909 0.3779  1 O 1.08
H 0.5129 0.6198 0.6005  1 O 0.98
H 0.0904 0.8929 0.4120  1 O 0.97
H 0.2810 0.6118 0.1074  1 O 1.17
H 0.5107 0.9249 0.6119  1 O 1.09
H 0.0030 0.6091 0.6221  1 O 1.08
H 0.9096 0.1071 0.5880  1 O 0.97
H 0.3951 0.9129 0.4155  1 O 1.05
H 0.0885 0.5595 0.4033  1 O 1.10
H 0.7576 0.8290 0.3815  1 O 1.05
H 0.7652 0.3251 0.7539  1 O 0.81
H 0.4167 0.5599 0.3963  1 O 1.18
H 0.7482 0.6224 0.3812  1 O 1.17
H 0.4871 0.3802 0.3995  1 O 0.98
H 0.9914 0.9428 0.6200  1 O 1.13
H 0.9115 0.4405 0.5967  1 O 1.10
H 0.6049 0.0871 0.5845  1 O 1.05
H 0.7190 0.3882 0.8926  1 O 1.17
H 0.5833 0.4401 0.6037  1 O 1.18
H 0.2518 0.3776 0.6188  1 O 1.17
H 0.2424 0.1710 0.6185  1 O 1.05

=====

This record from the Materials Project database describes Na2P3HO9 after structural relaxation. The functional is PBE-GGA.

## Properties
Energy relative to the elements, meV per atom: -2501
Polymorph energy (0 for the lowest one), eV/atom: 0.0000
Volume, Å³ per atom: 13.1
SG: P-1, No. 2

Cell: 7.1876 7.8895 7.9560 Å, 98.32 116.57 76.89°
Closest atoms and distances in Å follow each position.
Positions (direct):
O 0.2734 0.7754 0.9930  1 H 1.38, 1 P 1.51
O 0.7248 0.3966 0.7627  2 P 1.61-1.64
O 0.3040 0.9288 0.3140  1 P 1.50
O 0.2752 0.6034 0.2373  2 P 1.61-1.64
O 0.9618 0.8342 0.0684  2 P 1.61-1.64
O 0.2002 0.0713 0.6928  1 P 1.49
O 0.6077 0.7790 0.9797  1 H 1.08
O 0.7266 0.2246 0.0070  1 H 1.38, 1 P 1.51
O 0.0382 0.1658 0.9316  2 P 1.61-1.64
O 0.2267 0.3558 0.3740  1 P 1.49
O 0.9218 0.6051 0.2344  2 P 1.60-1.66
O 0.6960 0.0712 0.6860  1 P 1.50
O 0.3923 0.2210 0.0203  1 H 1.08
O 0.2339 0.6658 0.5443  1 P 1.49
O 0.7998 0.9287 0.3072  1 P 1.49
O 0.0782 0.3949 0.7656  2 P 1.60-1.66
O 0.7661 0.3342 0.4557  1 P 1.49
O 0.7733 0.6442 0.6260  1 P 1.49
P 0.1789 0.5492 0.3702  4 O 1.49-1.66
P 0.1858 0.2036 0.8428  4 O 1.49-1.61
P 0.8142 0.7964 0.1572  4 O 1.49-1.61
P 0.2217 0.7945 0.1593  4 O 1.50-1.64
P 0.8211 0.4508 0.6298  4 O 1.49-1.66
P 0.7783 0.2055 0.8407  4 O 1.50-1.64
H 0.4683 0.7749 0.9973  1 O 1.08
H 0.5317 0.2251 0.0027  1 O 1.08
Na 0.0084 0.1675 0.3483  6 O 2.32-2.60
Na 0.5136 0.1488 0.3546  6 O 2.37-2.51
Na 0.4864 0.8512 0.6454  6 O 2.37-2.51
Na 0.9916 0.8325 0.6517  6 O 2.32-2.60

=====

This record from the Materials Project database describes NaP2H5O6 after structural relaxation. The functional is PBE-GGA.

## Properties
Energy relative to the elements, meV per atom: -1766
Volume, Å³ per atom: 11.0
SG: Cc, No. 9

Cell: 5.9664 6.0237 9.8889 Å, 90.73 90.00 119.69°
Closest atoms and distances in Å follow each position.
Positions (direct):
O 0.8688 0.6074 0.1390  1 H 1.08
O 0.2715 0.3896 0.3541  1 H 1.43, 1 P 1.52
O 0.3880 0.2623 0.1360  1 H 1.07
O 0.3910 0.1275 0.6434  1 P 1.51, 1 H 1.57
O 0.6039 0.7279 0.8520  1 H 1.41, 1 P 1.53
O 0.1181 0.3896 0.8541  1 H 1.43, 1 P 1.52
O 0.7365 0.1275 0.1434  1 P 1.51, 1 H 1.57
O 0.1240 0.7279 0.3520  1 H 1.41, 1 P 1.53
O 0.2622 0.8705 0.8652  1 H 1.03
O 0.8743 0.2623 0.6360  1 H 1.07
O 0.6082 0.8705 0.3652  1 H 1.03
O 0.7386 0.6074 0.6390  1 H 1.08
P 0.6567 0.3252 0.5971  1 H 1.40, 1 O 1.51
P 0.6685 0.3252 0.0971  1 H 1.40, 1 O 1.51
P 0.3212 0.6533 0.3990  1 H 1.40, 2 O 1.52-1.53
P 0.3321 0.6533 0.8990  1 H 1.40, 2 O 1.52-1.53
H 0.9759 0.3265 0.7299  1 O 1.07
H 0.3260 0.9666 0.7759  1 O 1.03
H 0.6689 0.6473 0.7316  1 O 1.08
H 0.6406 0.9666 0.2759  1 O 1.03
H 0.6638 0.3319 0.9559  1 P 1.40
H 0.3341 0.6629 0.0407  1 P 1.40
H 0.3506 0.3265 0.2299  1 O 1.07
H 0.3289 0.6629 0.5407  1 P 1.40
H 0.9784 0.6473 0.2316  1 O 1.08
H 0.6680 0.3319 0.4559  1 P 1.40
Na 0.0201 0.0050 0.4902  6 O 2.45-2.61
Na 0.9849 0.0050 0.9902  6 O 2.45-2.61

=====

- volume of number 2 (Na5P3H12O16)?
  10.9 Å³ per atom

=====

- Number 4 is which compound?
  NaP2H5O6